# Sb3Br2F16 r2SCAN optimized geometry
# calculated volume	697	Å³ per cell
# crystal system	monoclinic
# magnetic moment	1.0	μB/f.u.
# formation enthalpy at 0 K	-2.133	eV per atom
# energy	-9.450	eV/atom
# space-group type	C2/c, No. 15
data_Sb3Br2F16
_cell_length_a 7.454
_cell_length_b 7.454
_cell_length_c 14.374
_cell_angle_alpha 87.32
_cell_angle_beta 87.32
_cell_angle_gamma 60.87
_symmetry_space_group_name_H-M 'P 1'
_symmetry_Int_Tables_number 1
loop_
_symmetry_equiv_pos_as_xyz
'x,y,z'
loop_
_atom_site_label
_atom_site_type_symbol
_atom_site_fract_x
_atom_site_fract_y
_atom_site_fract_z
Sb1 Sb 0.976 0.274 0.378
Sb2 Sb 0.726 0.024 0.122
Sb3 Sb 0.274 0.976 0.878
Sb4 Sb 0.024 0.726 0.622
Sb5 Sb 0.000 0.500 0.000
Sb6 Sb 0.500 0.000 0.500
Br1 Br 0.402 0.733 0.200
Br2 Br 0.267 0.598 0.300
Br3 Br 0.598 0.267 0.800
Br4 Br 0.733 0.402 0.700
F1 F 0.207 0.655 0.520
F2 F 0.345 0.793 0.980
F3 F 0.793 0.345 0.480
F4 F 0.655 0.207 0.020
F5 F 0.220 0.582 0.711
F6 F 0.418 0.780 0.789
F7 F 0.780 0.418 0.289
F8 F 0.582 0.220 0.211
F9 F 0.798 0.823 0.706
F10 F 0.177 0.202 0.794
F11 F 0.884 0.799 0.022
F12 F 0.201 0.116 0.478
F13 F 0.116 0.201 0.978
F14 F 0.799 0.884 0.522
F15 F 0.801 0.494 0.082
F16 F 0.506 0.199 0.418
F17 F 0.199 0.506 0.918
F18 F 0.494 0.801 0.582
F19 F 0.176 0.438 0.099
F20 F 0.562 0.824 0.401
F21 F 0.824 0.562 0.901
F22 F 0.438 0.176 0.599
F23 F 0.974 0.028 0.131
F24 F 0.972 0.026 0.369
F25 F 0.026 0.972 0.869
F26 F 0.028 0.974 0.631
F27 F 0.503 0.978 0.099
F28 F 0.022 0.497 0.401
F29 F 0.497 0.022 0.901
F30 F 0.978 0.503 0.599
F31 F 0.823 0.798 0.206
F32 F 0.202 0.177 0.294